# 1
A relaxed structure of Zn3CrS4. Source: the Materials Project, functional PBE.

## Properties
symmetry: P-43m (215)

a b c (Å): 5.4673 5.4673 5.4673
angles (deg): 90.00 90.00 90.00
Positions (direct):
Zn: 0.5000 0.5000 0.0000
Zn: 0.5000 0.0000 0.5000
Zn: 0.0000 0.5000 0.5000
Cr: 0.0000 0.0000 0.0000
S: 0.7488 0.7488 0.2512
S: 0.7488 0.2512 0.7488
S: 0.2512 0.7488 0.7488
S: 0.2512 0.2512 0.2512

=====

# 2
A relaxed structure of CrSb. Source: the Materials Project, functional PBE.

## Properties
symmetry: P6_3/mmc (194)

a b c (Å): 4.0176 4.0176 5.8902
angles (deg): 90.00 90.00 120.00
Positions (direct):
Cr: 0.0000 0.0000 0.0000
Cr: 0.0000 0.0000 0.5000
Sb: 0.3333 0.6667 0.7500
Sb: 0.6667 0.3333 0.2500

=====

# 3
A relaxed structure of Cr10Sb3Te7. Source: the Materials Project, functional PBE.

## Properties
distance to the lowest polymorph of the same formula: 15 meV per atom
symmetry: P1 (1)

a b c (Å): 7.1670 7.1744 10.1180
angles (deg): 89.94 103.56 119.85
Positions (direct):
Cr: 0.0049 0.0050 0.0014
Cr: 0.8077 0.4005 0.8030
Cr: 0.5947 0.7942 0.6020
Cr: 0.4004 0.1984 0.8977
Cr: 0.4202 0.2110 0.3973
Cr: 0.2009 0.6036 0.7020
Cr: 0.2056 0.6059 0.2002
Cr: 0.0030 0.0017 0.5016
Cr: 0.7977 0.3973 0.3076
Cr: 0.6034 0.8010 0.1036
Sb: 0.2053 0.7698 0.9506
Sb: 0.8006 0.5704 0.5560
Sb: 0.5986 0.9630 0.3533
Te: 0.6035 0.6347 0.8528
Te: 0.0003 0.1652 0.7498
Te: 0.4124 0.0399 0.6473
Te: 0.2049 0.4366 0.4495
Te: 0.0027 0.8308 0.2534
Te: 0.3935 0.3666 0.1520
Te: 0.7980 0.2342 0.0540

=====

# 4
A relaxed structure of Cr2SbTe. Source: the Materials Project, functional PBE.

## Properties
distance to the lowest polymorph of the same formula: 0 meV per atom
symmetry: P-6m2 (187)

a b c (Å): 4.1365 4.1365 6.3956
angles (deg): 90.00 90.00 120.00
Positions (direct):
Cr: 0.0000 0.0000 0.9942
Cr: 0.0000 0.0000 0.5058
Sb: 0.6667 0.3333 0.7500
Te: 0.3333 0.6667 0.2500

=====

# 5
A relaxed structure of Cr10Sb3Te7. Source: the Materials Project, functional PBE.

## Properties
distance to the lowest polymorph of the same formula: 0 meV per atom
symmetry: C2 (5)

a b c (Å): 7.4248 7.4248 10.2615
angles (deg): 73.41 73.41 56.93
Positions (direct):
Cr: 0.0023 0.7986 0.9503
Cr: 0.3999 0.2038 0.1509
Cr: 0.8018 0.5998 0.3519
Cr: 0.2014 0.9977 0.0497
Cr: 0.2032 0.0009 0.5496
Cr: 0.5963 0.4006 0.2495
Cr: 0.5994 0.4037 0.7505
Cr: 0.9991 0.7968 0.4504
Cr: 0.4002 0.1982 0.6481
Cr: 0.7962 0.6001 0.8491
Sb: 0.4333 0.5667 0.0000
Sb: 0.2334 0.3664 0.4002
Sb: 0.6336 0.7666 0.5998
Te: 0.9673 0.4337 0.1004
Te: 0.8336 0.9666 0.2003
Te: 0.3666 0.8328 0.3007
Te: 0.7657 0.2343 0.5000
Te: 0.1672 0.6334 0.6993
Te: 0.0334 0.1664 0.7997
Te: 0.5663 0.0327 0.8996

=====

# 6
A relaxed structure of Cr2SbTe. Source: the Materials Project, functional PBE.

## Properties
distance to the lowest polymorph of the same formula: 176 meV per atom
symmetry: P-6m2 (187)

a b c (Å): 4.2389 4.2389 4.8516
angles (deg): 90.00 90.00 120.00
Positions (direct):
Cr: 0.0000 0.0000 0.7375
Cr: 0.0000 0.0000 0.2625
Sb: 0.6667 0.3333 0.5000
Te: 0.3333 0.6667 0.0000

=====

# 7
A relaxed structure of ThCrSb3. Source: the Materials Project, functional PBE.

## Properties
symmetry: Pbcm (57)

a b c (Å): 6.2000 6.3152 12.9558
angles (deg): 90.00 90.00 90.00
Positions (direct):
Th: 0.2500 0.5036 0.3077
Th: 0.7500 0.4964 0.6923
Th: 0.2500 0.0036 0.6923
Th: 0.7500 0.9964 0.3077
Cr: 0.0000 0.7500 0.9067
Cr: 0.0000 0.2500 0.0933
Cr: 0.5000 0.2500 0.0933
Cr: 0.5000 0.7500 0.9067
Sb: 0.0000 0.7500 0.5014
Sb: 0.0000 0.2500 0.4986
Sb: 0.5000 0.2500 0.4986
Sb: 0.5000 0.7500 0.5014
Sb: 0.2500 0.5952 0.0612
Sb: 0.7500 0.4048 0.9388
Sb: 0.2500 0.0952 0.9388
Sb: 0.7500 0.9048 0.0612
Sb: 0.2500 0.0045 0.2304
Sb: 0.7500 0.9955 0.7696
Sb: 0.2500 0.5045 0.7696
Sb: 0.7500 0.4955 0.2304

=====

# 8
A relaxed structure of U5CrSb3. Source: the Materials Project, functional PBE.

## Properties
symmetry: P6_3/mcm (193)

a b c (Å): 5.8674 9.1314 9.1314
angles (deg): 120.00 90.00 90.00
Positions (direct):
U: 0.7500 0.7551 0.7551
U: 0.2500 0.2449 0.2449
U: 0.7500 0.0000 0.2449
U: 0.2500 0.0000 0.7551
U: 0.7500 0.2449 0.0000
U: 0.2500 0.7551 0.0000
U: 0.0000 0.6667 0.3333
U: 0.0000 0.3333 0.6667
U: 0.5000 0.3333 0.6667
U: 0.5000 0.6667 0.3333
Cr: 0.0000 0.0000 0.0000
Cr: 0.5000 0.0000 0.0000
Sb: 0.7500 0.3895 0.3895
Sb: 0.2500 0.6105 0.6105
Sb: 0.7500 0.0000 0.6105
Sb: 0.2500 0.0000 0.3895
Sb: 0.7500 0.6105 0.0000
Sb: 0.2500 0.3895 0.0000

=====

# 9
A relaxed structure of Zr5CrSb2. Source: the Materials Project, functional PBE.

## Properties
symmetry: I4/mcm (140)

a b c (Å): 5.5731 8.3674 8.3674
angles (deg): 83.63 70.55 70.55
Positions (direct):
Zr: 0.0725 0.1301 0.7248
Zr: 0.9275 0.8699 0.2752
Zr: 0.7974 0.2752 0.1301
Zr: 0.4275 0.2752 0.8699
Zr: 0.2026 0.7248 0.8699
Zr: 0.5725 0.7248 0.1301
Zr: 0.7026 0.8699 0.7248
Zr: 0.2974 0.1301 0.2752
Zr: 0.2500 0.5000 0.5000
Zr: 0.7500 0.5000 0.5000
Cr: 0.2500 0.0000 0.0000
Cr: 0.7500 0.0000 0.0000
Sb: 0.1632 0.5000 0.1735
Sb: 0.8368 0.5000 0.8265
Sb: 0.3368 0.8265 0.5000
Sb: 0.6632 0.1735 0.5000

=====

# 10
A relaxed structure of Zr10CrSb5. Source: the Materials Project, functional PBE.

## Properties
symmetry: I422 (97)

a b c (Å): 5.5834 8.4189 8.4189
angles (deg): 96.31 109.37 70.63
Positions (direct):
Zr: 0.4113 0.8635 0.7098
Zr: 0.5650 0.1365 0.2902
Zr: 0.9350 0.2902 0.1365
Zr: 0.0887 0.7098 0.8635
Zr: 0.7015 0.7098 0.1365
Zr: 0.2749 0.2902 0.8635
Zr: 0.7985 0.1365 0.7098
Zr: 0.2251 0.8635 0.2902
Zr: 0.2500 0.5000 0.5000
Zr: 0.7500 0.5000 0.5000
Cr: 0.2500 0.0000 0.0000
Sb: 0.3368 0.5000 0.1736
Sb: 0.6632 0.5000 0.8264
Sb: 0.8368 0.8264 0.5000
Sb: 0.1632 0.1736 0.5000
Sb: 0.7500 0.0000 0.0000

=====

# 11
A relaxed structure of Cr3Se. Source: the Materials Project, functional PBE.

## Properties
symmetry: I4/mmm (139)

a b c (Å): 4.7972 4.7972 4.7972
angles (deg): 137.56 137.56 61.58
Positions (direct):
Cr: 0.7500 0.2500 0.5000
Cr: 0.2500 0.7500 0.5000
Cr: 0.5000 0.5000 0.0000
Se: 0.0000 0.0000 0.0000

=====

# 12
A relaxed structure of Cr2Se3. Source: the Materials Project, functional PBE.

## Properties
symmetry: P-1 (2)

a b c (Å): 6.9123 7.3253 8.6502
angles (deg): 90.53 104.11 104.93
Positions (direct):
Cr: 0.4922 0.2404 0.0168
Cr: 0.8142 0.5655 0.3386
Cr: 0.1756 0.9064 0.6737
Cr: 0.5078 0.7596 0.9832
Cr: 0.8244 0.0935 0.3263
Cr: 0.1858 0.4345 0.6614
Cr: 0.8282 0.3267 0.8241
Cr: 0.1718 0.6733 0.1759
Se: 0.7738 0.0722 0.0257
Se: 0.1064 0.4044 0.3617
Se: 0.4482 0.7403 0.6903
Se: 0.2262 0.9278 0.9743
Se: 0.5518 0.2597 0.3097
Se: 0.8936 0.5956 0.6383
Se: 0.5608 0.7685 0.2938
Se: 0.9070 0.1074 0.6321
Se: 0.2239 0.4353 0.9725
Se: 0.4392 0.2315 0.7062
Se: 0.7761 0.5647 0.0275
Se: 0.0930 0.8926 0.3679

=====

Energy of formation (meV/atom)
-886; 2; -121; -44; -136; 132; -520; -22; -518; -645; 242; -803